## U2Fe3Ge (r²SCAN)

Data for crystalline U2Fe3Ge at its relaxed geometry.

```
data_U2Fe3Ge
_chemical_formula_sum 'U4 Fe6 Ge2'
_space_group_name_H-M_alt 'P 1'
_space_group_IT_number 1
_cell_length_a 5.186
_cell_length_b 5.186
_cell_length_c 8.015
_cell_angle_alpha 90.00
_cell_angle_beta 90.00
_cell_angle_gamma 120.00
loop_
_space_group_symop_operation_xyz
'x,y,z'
loop_
_atom_site_label
_atom_site_fract_x
_atom_site_fract_y
_atom_site_fract_z
_atom_site_occupancy
U1 0.667 0.333 0.577 1
U2 0.333 0.667 0.077 1
U3 0.667 0.333 0.923 1
U4 0.333 0.667 0.423 1
Ge1 0.000 0.000 0.500 1
Ge2 0.000 0.000 0.000 1
Fe1 0.828 0.657 0.250 1
Fe2 0.657 0.828 0.750 1
Fe3 0.172 0.343 0.750 1
Fe4 0.343 0.172 0.250 1
Fe5 0.172 0.828 0.750 1
Fe6 0.828 0.172 0.250 1
```

space-group type: No. 194
energy of formation from the pure elements: -0.967 eV per formula unit


## UFeGe (r²SCAN)

Data for crystalline UFeGe at its relaxed geometry.

```
data_UFeGe
_chemical_formula_sum 'U4 Fe4 Ge4'
_space_group_name_H-M_alt 'P 1'
_space_group_IT_number 1
_cell_length_a 4.406
_cell_length_b 7.008
_cell_length_c 6.940
_cell_angle_alpha 94.08
_cell_angle_beta 90.00
_cell_angle_gamma 90.00
loop_
_space_group_symop_operation_xyz
'x,y,z'
loop_
_atom_site_label
_atom_site_fract_x
_atom_site_fract_y
_atom_site_fract_z
_atom_site_occupancy
U1 0.750 0.965 0.280 1
U2 0.250 0.035 0.720 1
U3 0.750 0.481 0.193 1
U4 0.250 0.519 0.807 1
Ge1 0.250 0.193 0.120 1
Ge2 0.250 0.707 0.402 1
Ge3 0.750 0.807 0.880 1
Ge4 0.750 0.293 0.598 1
Fe1 0.750 0.649 0.545 1
Fe2 0.250 0.351 0.455 1
Fe3 0.750 0.254 0.962 1
Fe4 0.250 0.746 0.038 1
```

space-group type: No. 11
energy of formation from the pure elements: -0.940 eV per formula unit


## V2FeGe (r²SCAN)

Data for crystalline V2FeGe at its relaxed geometry.

```
data_V2FeGe
_chemical_formula_sum 'V4 Fe2 Ge2'
_space_group_name_H-M_alt 'P 1'
_space_group_IT_number 1
_cell_length_a 4.637
_cell_length_b 4.637
_cell_length_c 4.583
_cell_angle_alpha 90.00
_cell_angle_beta 90.00
_cell_angle_gamma 90.07
loop_
_space_group_symop_operation_xyz
'x,y,z'
loop_
_atom_site_label
_atom_site_fract_x
_atom_site_fract_y
_atom_site_fract_z
_atom_site_occupancy
Ge1 0.994 0.510 0.750 1
Ge2 0.510 0.994 0.250 1
Fe1 0.007 0.749 0.250 1
Fe2 0.749 0.007 0.750 1
V1 0.239 0.007 0.750 1
V2 0.497 0.497 0.000 1
V3 0.497 0.497 0.500 1
V4 0.007 0.239 0.250 1
```

space-group type: No. 40
energy of formation from the pure elements: -0.763 eV per formula unit


## YbFe2Ge2 (r²SCAN)

Data for crystalline YbFe2Ge2 at its relaxed geometry.

```
data_YbFe2Ge2
_chemical_formula_sum 'Yb1 Fe2 Ge2'
_space_group_name_H-M_alt 'P 1'
_space_group_IT_number 1
_cell_length_a 6.068
_cell_length_b 6.068
_cell_length_c 6.068
_cell_angle_alpha 142.87
_cell_angle_beta 142.87
_cell_angle_gamma 53.52
loop_
_space_group_symop_operation_xyz
'x,y,z'
loop_
_atom_site_label
_atom_site_fract_x
_atom_site_fract_y
_atom_site_fract_z
_atom_site_occupancy
Ge1 0.613 0.613 0.000 1
Ge2 0.387 0.387 0.000 1
Yb1 0.000 0.000 0.000 1
Fe1 0.250 0.750 0.500 1
Fe2 0.750 0.250 0.500 1
```

space-group type: No. 139
energy of formation from the pure elements: -2.270 eV per formula unit


## Zr2Fe3Ge (r²SCAN)

Data for crystalline Zr2Fe3Ge at its relaxed geometry.

```
data_Zr2Fe3Ge
_chemical_formula_sum 'Zr4 Fe6 Ge2'
_space_group_name_H-M_alt 'P 1'
_space_group_IT_number 1
_cell_length_a 5.010
_cell_length_b 5.010
_cell_length_c 8.297
_cell_angle_alpha 90.00
_cell_angle_beta 90.00
_cell_angle_gamma 120.00
loop_
_space_group_symop_operation_xyz
'x,y,z'
loop_
_atom_site_label
_atom_site_fract_x
_atom_site_fract_y
_atom_site_fract_z
_atom_site_occupancy
Fe1 0.172 0.343 0.750 1
Fe2 0.828 0.172 0.250 1
Fe3 0.657 0.828 0.750 1
Fe4 0.828 0.657 0.250 1
Fe5 0.343 0.172 0.250 1
Fe6 0.172 0.828 0.750 1
Ge1 0.000 0.000 0.500 1
Ge2 0.000 0.000 0.000 1
Zr1 0.333 0.667 0.435 1
Zr2 0.667 0.333 0.935 1
Zr3 0.333 0.667 0.065 1
Zr4 0.667 0.333 0.565 1
```

space-group type: No. 194
energy of formation from the pure elements: -2.359 eV per formula unit


## Zr2FeH5 (r²SCAN)

Data for crystalline Zr2FeH5 at its relaxed geometry.

```
data_Zr2FeH5
_chemical_formula_sum 'Zr8 Fe4 H20'
_space_group_name_H-M_alt 'P 1'
_space_group_IT_number 1
_cell_length_a 6.856
_cell_length_b 6.856
_cell_length_c 5.653
_cell_angle_alpha 90.00
_cell_angle_beta 90.00
_cell_angle_gamma 90.00
loop_
_space_group_symop_operation_xyz
'x,y,z'
loop_
_atom_site_label
_atom_site_fract_x
_atom_site_fract_y
_atom_site_fract_z
_atom_site_occupancy
H1 0.916 0.712 0.431 1
H2 0.916 0.288 0.931 1
H3 0.584 0.212 0.069 1
H4 0.000 0.000 0.500 1
H5 0.288 0.916 0.569 1
H6 0.712 0.916 0.069 1
H7 0.416 0.212 0.569 1
H8 0.788 0.584 0.931 1
H9 0.416 0.788 0.069 1
H10 0.712 0.084 0.569 1
H11 0.212 0.416 0.931 1
H12 0.584 0.788 0.569 1
H13 0.000 0.000 0.000 1
H14 0.084 0.288 0.431 1
H15 0.288 0.084 0.069 1
H16 0.500 0.500 0.500 1
H17 0.212 0.584 0.431 1
H18 0.500 0.500 0.000 1
H19 0.084 0.712 0.931 1
H20 0.788 0.416 0.431 1
Fe1 0.000 0.500 0.986 1
Fe2 0.500 0.000 0.014 1
Fe3 0.500 0.000 0.514 1
Fe4 0.000 0.500 0.486 1
Zr1 0.161 0.839 0.250 1
Zr2 0.661 0.661 0.250 1
Zr3 0.339 0.661 0.750 1
Zr4 0.339 0.339 0.250 1
Zr5 0.839 0.161 0.250 1
Zr6 0.161 0.161 0.750 1
Zr7 0.839 0.839 0.750 1
Zr8 0.661 0.339 0.750 1
```

space-group type: No. 130
energy of formation from the pure elements: -3.256 eV per formula unit


## HfFe2 (r²SCAN)

Data for crystalline HfFe2 at its relaxed geometry.

```
data_HfFe2
_chemical_formula_sum 'Hf8 Fe16'
_space_group_name_H-M_alt 'P 1'
_space_group_IT_number 1
_cell_length_a 4.968
_cell_length_b 4.968
_cell_length_c 16.223
_cell_angle_alpha 90.00
_cell_angle_beta 90.00
_cell_angle_gamma 120.00
loop_
_space_group_symop_operation_xyz
'x,y,z'
loop_
_atom_site_label
_atom_site_fract_x
_atom_site_fract_y
_atom_site_fract_z
_atom_site_occupancy
Hf1 0.000 0.000 0.906 1
Hf2 0.000 0.000 0.406 1
Hf3 0.333 0.667 0.844 1
Hf4 0.667 0.333 0.344 1
Hf5 0.000 0.000 0.094 1
Hf6 0.000 0.000 0.594 1
Hf7 0.667 0.333 0.156 1
Hf8 0.333 0.667 0.656 1
Fe1 0.500 0.000 0.500 1
Fe2 0.331 0.166 0.750 1
Fe3 0.500 0.500 0.500 1
Fe4 0.834 0.669 0.750 1
Fe5 0.667 0.333 0.876 1
Fe6 0.667 0.333 0.624 1
Fe7 0.000 0.500 0.500 1
Fe8 0.333 0.667 0.124 1
Fe9 0.834 0.166 0.750 1
Fe10 0.500 0.500 0.000 1
Fe11 0.333 0.667 0.376 1
Fe12 0.166 0.834 0.250 1
Fe13 0.000 0.500 0.000 1
Fe14 0.669 0.834 0.250 1
Fe15 0.500 0.000 0.000 1
Fe16 0.166 0.331 0.250 1
```

space-group type: No. 194
energy of formation from the pure elements: -0.752 eV per formula unit


## HfFe2 (r²SCAN)

Data for crystalline HfFe2 at its relaxed geometry.

```
data_HfFe2
_chemical_formula_sum 'Hf4 Fe8'
_space_group_name_H-M_alt 'P 1'
_space_group_IT_number 1
_cell_length_a 4.976
_cell_length_b 4.976
_cell_length_c 8.091
_cell_angle_alpha 90.00
_cell_angle_beta 90.00
_cell_angle_gamma 120.00
loop_
_space_group_symop_operation_xyz
'x,y,z'
loop_
_atom_site_label
_atom_site_fract_x
_atom_site_fract_y
_atom_site_fract_z
_atom_site_occupancy
Hf1 0.667 0.333 0.939 1
Hf2 0.333 0.667 0.439 1
Hf3 0.333 0.667 0.061 1
Hf4 0.667 0.333 0.561 1
Fe1 0.000 0.000 0.000 1
Fe2 0.832 0.664 0.250 1
Fe3 0.168 0.832 0.750 1
Fe4 0.665 0.832 0.750 1
Fe5 0.832 0.168 0.250 1
Fe6 0.335 0.168 0.250 1
Fe7 0.000 0.000 0.500 1
Fe8 0.168 0.336 0.750 1
```

space-group type: No. 194
energy of formation from the pure elements: -0.739 eV per formula unit


## HfFe2 (r²SCAN)

Data for crystalline HfFe2 at its relaxed geometry.

```
data_HfFe2
_chemical_formula_sum 'Hf2 Fe4'
_space_group_name_H-M_alt 'P 1'
_space_group_IT_number 1
_cell_length_a 4.963
_cell_length_b 4.963
_cell_length_c 4.963
_cell_angle_alpha 60.00
_cell_angle_beta 60.00
_cell_angle_gamma 60.00
loop_
_space_group_symop_operation_xyz
'x,y,z'
loop_
_atom_site_label
_atom_site_fract_x
_atom_site_fract_y
_atom_site_fract_z
_atom_site_occupancy
Hf1 0.875 0.875 0.875 1
Hf2 0.125 0.125 0.125 1
Fe1 0.500 0.000 0.500 1
Fe2 0.500 0.500 0.000 1
Fe3 0.000 0.500 0.500 1
Fe4 0.500 0.500 0.500 1
```

space-group type: No. 227
energy of formation from the pure elements: -0.778 eV per formula unit


## Hf2FeOs (r²SCAN)

Data for crystalline Hf2FeOs at its relaxed geometry.

```
data_Hf2FeOs
_chemical_formula_sum 'Hf2 Fe1 Os1'
_space_group_name_H-M_alt 'P 1'
_space_group_IT_number 1
_cell_length_a 4.512
_cell_length_b 4.512
_cell_length_c 4.512
_cell_angle_alpha 60.00
_cell_angle_beta 60.00
_cell_angle_gamma 60.00
loop_
_space_group_symop_operation_xyz
'x,y,z'
loop_
_atom_site_label
_atom_site_fract_x
_atom_site_fract_y
_atom_site_fract_z
_atom_site_occupancy
Hf1 0.000 0.000 0.000 1
Hf2 0.500 0.500 0.500 1
Os1 0.750 0.750 0.750 1
Fe1 0.250 0.250 0.250 1
```

space-group type: No. 225
energy of formation from the pure elements: -2.001 eV per formula unit


## Hf6Fe16Si7 (r²SCAN)

Data for crystalline Hf6Fe16Si7 at its relaxed geometry.

```
data_Hf6Fe16Si7
_chemical_formula_sum 'Hf6 Fe16 Si7'
_space_group_name_H-M_alt 'P 1'
_space_group_IT_number 1
_cell_length_a 8.133
_cell_length_b 8.133
_cell_length_c 8.133
_cell_angle_alpha 60.00
_cell_angle_beta 60.00
_cell_angle_gamma 60.00
loop_
_space_group_symop_operation_xyz
'x,y,z'
loop_
_atom_site_label
_atom_site_fract_x
_atom_site_fract_y
_atom_site_fract_z
_atom_site_occupancy
Fe1 0.115 0.115 0.115 1
Fe2 0.885 0.885 0.885 1
Fe3 0.885 0.345 0.885 1
Fe4 0.885 0.885 0.345 1
Fe5 0.345 0.885 0.885 1
Fe6 0.115 0.655 0.115 1
Fe7 0.675 0.975 0.675 1
Fe8 0.325 0.325 0.025 1
Fe9 0.325 0.025 0.325 1
Fe10 0.675 0.675 0.975 1
Fe11 0.325 0.325 0.325 1
Fe12 0.675 0.675 0.675 1
Fe13 0.025 0.325 0.325 1
Fe14 0.655 0.115 0.115 1
Fe15 0.115 0.115 0.655 1
Fe16 0.975 0.675 0.675 1
Hf1 0.698 0.302 0.698 1
Hf2 0.698 0.698 0.302 1
Hf3 0.302 0.698 0.698 1
Hf4 0.302 0.698 0.302 1
Hf5 0.302 0.302 0.698 1
Hf6 0.698 0.302 0.302 1
Si1 0.500 0.000 0.000 1
Si2 0.000 0.000 0.000 1
Si3 0.000 0.000 0.500 1
Si4 0.000 0.500 0.000 1
Si5 0.000 0.500 0.500 1
Si6 0.500 0.500 0.000 1
Si7 0.500 0.000 0.500 1
```

space-group type: No. 225
energy of formation from the pure elements: -9.963 eV per formula unit


## HfFeSi (r²SCAN)

Data for crystalline HfFeSi at its relaxed geometry.

```
data_HfFeSi
_chemical_formula_sum 'Hf4 Fe4 Si4'
_space_group_name_H-M_alt 'P 1'
_space_group_IT_number 1
_cell_length_a 3.971
_cell_length_b 6.320
_cell_length_c 6.828
_cell_angle_alpha 90.00
_cell_angle_beta 90.00
_cell_angle_gamma 90.00
loop_
_space_group_symop_operation_xyz
'x,y,z'
loop_
_atom_site_label
_atom_site_fract_x
_atom_site_fract_y
_atom_site_fract_z
_atom_site_occupancy
Fe1 0.250 0.156 0.059 1
Fe2 0.750 0.344 0.559 1
Fe3 0.250 0.656 0.441 1
Fe4 0.750 0.844 0.941 1
Si1 0.750 0.209 0.892 1
Si2 0.750 0.709 0.608 1
Si3 0.250 0.291 0.392 1
Si4 0.250 0.791 0.108 1
Hf1 0.750 0.511 0.199 1
Hf2 0.750 0.011 0.301 1
Hf3 0.250 0.489 0.801 1
Hf4 0.250 0.989 0.699 1
```

space-group type: No. 62
energy of formation from the pure elements: -1.926 eV per formula unit


| no. | ρ (g cm⁻³) | electronic total energy (hartree per atom) |
| --- | --- | --- |
| 1 | 12.7 | -1.3350 |
| 2 | 11.4 | -1.3373 |
| 3 | 7.8 | -0.5258 |
| 4 | 8.8 | -0.7010 |
| 5 | 7.8 | -0.6429 |
| 6 | 6.1 | -0.3695 |
| 7 | 11.1 | -0.9154 |
| 8 | 11.1 | -0.9153 |
| 9 | 11.1 | -0.9157 |
| 10 | 15.4 | -1.4672 |
| 11 | 9.4 | -0.7260 |
| 12 | 10.2 | -0.8607 |